Entry from the Materials Project database: HfMg after structural relaxation (PBE-GGA).

Results
Its total magnetic moment is 0.0 μB/cell.

Geometry as extended XYZ:
```
6
Lattice="3.047 0.000 0.000 -1.523 2.639 0.000 0.000 0.000 16.437" Properties=species:S:1:pos:R:3 pbc="T T T"
Hf 0.000 0.000 0.000
Hf 0.000 1.759 10.958
Hf 1.523 0.880 5.479
Mg 0.000 0.000 8.219
Mg 0.000 1.759 2.740
Mg 1.523 0.880 13.698
```

Entry from the Materials Project database: Ca2GePd3 after structural relaxation (PBE-GGA).

Geometry as extended XYZ:
```
6
Lattice="2.831 1.634 4.160 -2.831 1.634 4.160 0.000 -3.269 4.160" Properties=species:S:1:pos:R:3 pbc="T T T"
Ca 0.000 0.000 1.612
Ca 0.000 0.000 10.867
Ge 0.000 0.000 6.240
Pd -1.415 -0.817 4.160
Pd -1.415 0.817 8.319
Pd 0.000 1.634 4.160
```

Entry from the Materials Project database: TeS7Cl2 after structural relaxation (PBE-GGA).

Results
Its total magnetic moment is 0.0 μB/cell.

Geometry as extended XYZ:
```
40
Lattice="10.450 0.000 0.000 0.000 7.627 0.000 0.000 0.000 17.236" Properties=species:S:1:pos:R:3 pbc="T T T"
Te 1.469 1.907 1.230
Te 3.755 5.720 9.848
Te 6.694 1.907 7.388
Te 8.980 5.720 16.006
S 0.667 4.681 5.324
S 0.667 6.759 5.324
S 2.043 3.899 9.098
S 2.046 5.720 4.165
S 2.043 7.541 9.098
S 2.539 0.763 7.409
S 2.539 3.051 7.409
S 2.686 4.576 16.027
S 2.686 6.864 16.027
S 3.182 0.086 0.480
S 3.179 1.907 12.783
S 3.182 3.728 0.480
S 4.558 0.868 13.942
S 4.558 2.946 13.942
S 5.892 4.681 3.294
S 5.892 6.759 3.294
S 7.268 3.899 16.756
S 7.271 5.720 4.453
S 7.268 7.541 16.756
S 7.763 0.763 1.209
S 7.763 3.051 1.209
S 7.911 4.576 9.827
S 7.911 6.864 9.827
S 8.406 0.086 8.138
S 8.403 1.907 13.071
S 8.406 3.728 8.138
S 9.782 0.868 11.912
S 9.782 2.946 11.912
Cl 0.496 1.907 16.220
Cl 2.074 5.720 11.765
Cl 3.151 1.907 3.147
Cl 4.729 5.720 7.602
Cl 5.720 1.907 9.634
Cl 7.298 5.720 14.089
Cl 8.376 1.907 5.471
Cl 9.954 5.720 1.016
```

Number 1: energy of formation from the pure elements 0.13 eV per atom. Number 2: energy of formation from the pure elements -0.79 eV per atom. Number 3: energy of formation from the pure elements -0.41 eV per atom.